No. 1
SrLu2O4 | GGA-PBE | relaxed

## Properties
E_form: -3.8347 eV/atom
density: 8.4 g/cm³
symmetry: Pnma

```
SrLu2O4
1.0
10.011 0.000 0.000
0.000 3.346 0.000
0.000 0.000 11.781
Sr Lu O
4 8 16
Cartesian
2.461 0.836 1.764
2.544 2.509 7.654
7.467 0.836 4.127
7.550 2.509 10.017
0.731 0.836 4.567
0.789 0.836 10.494
4.216 2.509 4.604
4.274 2.509 10.458
5.737 0.836 1.323
5.795 0.836 7.177
9.222 2.509 1.287
9.280 2.509 7.214
0.193 2.509 9.224
0.749 0.836 6.779
1.215 2.509 0.232
2.095 2.509 3.892
2.911 0.836 9.783
3.791 0.836 6.122
4.257 2.509 0.888
4.813 0.836 3.334
5.199 2.509 8.447
5.755 0.836 10.893
6.220 2.509 5.659
7.100 2.509 1.998
7.917 0.836 7.889
8.797 0.836 11.549
9.262 2.509 5.002
9.818 0.836 2.557
```

No. 2
SrLu2O4 | GGA-PBE | relaxed

## Properties
E_form: -3.8248 eV/atom
density: 7.4 g/cm³
symmetry: Fd-3m

```
SrLu2O4
1.0
0.000 4.818 4.818
4.818 0.000 4.818
4.818 4.818 0.000
Sr Lu O
2 4 8
Cartesian
1.205 1.205 1.205
8.432 8.432 8.432
4.818 2.409 2.409
2.409 4.818 2.409
2.409 2.409 4.818
4.818 4.818 4.818
2.585 2.585 2.585
4.642 4.642 2.585
4.642 2.585 4.642
7.051 4.995 4.995
2.585 4.642 4.642
4.995 7.051 4.995
4.995 4.995 7.051
7.051 7.051 7.051
```

No. 3
SrLu2O4 | GGA-PBE | relaxed

## Properties
E_form: -3.8032 eV/atom
density: 8.3 g/cm³
symmetry: Cmcm

```
SrLu2O4
1.0
1.656 -5.473 0.000
1.656 5.473 0.000
0.000 0.000 11.025
Sr Lu O
2 4 8
Cartesian
1.656 4.261 8.269
1.656 -4.261 2.756
1.656 1.466 6.303
1.656 1.466 10.234
1.656 -1.466 0.791
1.656 -1.466 4.721
0.000 0.000 0.000
0.000 0.000 5.512
1.656 2.585 1.178
1.656 2.585 4.334
1.656 0.590 8.269
1.656 -0.590 2.756
1.656 -2.585 6.690
1.656 -2.585 9.847
```

No. 4
Sr2LuTaO6 | GGA-PBE | relaxed

## Properties
E_form: -3.6044 eV/atom
density: 7.2 g/cm³
symmetry: Fm-3m

```
Sr2LuTaO6
1.0
0.000 4.159 4.159
4.159 0.000 4.159
4.159 4.159 0.000
Sr Lu Ta O
2 1 1 6
Cartesian
2.079 2.079 2.079
6.238 6.238 6.238
0.000 0.000 0.000
4.159 4.159 4.159
4.159 4.159 2.163
4.159 2.163 4.159
6.154 4.159 4.159
2.163 4.159 4.159
4.159 6.154 4.159
4.159 4.159 6.154
```